Compound: LiMnOF2
Source: the Materials Project database
Functional: PBE+U
Structure: optimized geometry

Unit cell a=8.9012 b=5.2528 c=12.5497 alpha=90.00 beta=130.62 gamma=90.00
Space group Pc (No. 7)
Unique sites:
Li: 0.0000 0.0804 0.0000
Li: 0.1830 0.4161 0.5024
Li: 0.6820 0.4079 0.6971
Li: 0.8755 0.0926 0.2100
Mn: 0.0382 0.3997 0.6948
Mn: 0.3931 0.0391 0.4197
Mn: 0.4982 0.0813 0.1876
Mn: 0.5885 0.3977 0.9295
O: 0.1179 0.1085 0.7945
O: 0.4006 0.1864 0.5631
O: 0.4752 0.0967 0.8218
O: 0.5684 0.2315 0.0574
F: 0.0507 0.2622 0.5574
F: 0.2398 0.2497 0.0735
F: 0.3132 0.3863 0.3247
F: 0.6116 0.4103 0.2984
F: 0.7130 0.3005 0.5576
F: 0.7755 0.0707 0.7986
F: 0.9039 0.2890 0.0700
F: 0.9683 0.4322 0.3012

Summary:
Energy in Ry per atom: -0.4360
M_tot in Bohr magnetons per cell: 32.01
DFT formation energy in meV per atom: -2619
Relative energy among the computed polymorphs in eV/f.u.: 0.28

=====

Compound: Li2MnPO4F
Source: the Materials Project database
Functional: PBE+U
Structure: optimized geometry

Unit cell a=5.1367 b=13.2408 c=11.5300 alpha=90.00 beta=90.00 gamma=90.00
Space group Pbcn (No. 60)
Unique sites:
Li: 0.2175 0.2375 0.1783
Li: 0.2197 0.3639 0.8968
Mn: 0.2293 0.4941 0.6644
P: 0.2091 0.1296 0.9150
O: 0.0966 0.1258 0.5919
O: 0.1807 0.2771 0.3539
O: 0.1841 0.4693 0.3553
O: 0.2048 0.3718 0.5441
F: 0.0000 0.1060 0.2500
F: 0.0000 0.3628 0.7500

Summary:
Energy in Ry per atom: -0.4870
M_tot in Bohr magnetons per cell: 40.00
DFT formation energy in meV per atom: -2713
Relative energy among the computed polymorphs in eV/f.u.: 0.13

=====

Compound: Li2MnPO4F
Source: the Materials Project database
Functional: PBE+U
Structure: optimized geometry

Unit cell a=7.4027 b=7.6808 c=7.9935 alpha=89.77 beta=88.32 gamma=62.71
Space group P1 (No. 1)
Unique sites:
Li: 0.0000 0.0000 0.0000
Li: 0.0432 0.4177 0.0938
Li: 0.1501 0.1792 0.3887
Li: 0.2392 0.4454 0.6167
Li: 0.3887 0.7462 0.2720
Li: 0.5741 0.0880 0.6881
Li: 0.7124 0.4092 0.1216
Li: 0.9080 0.7280 0.7672
Mn: 0.3402 0.5765 0.9324
Mn: 0.3429 0.0672 0.9451
Mn: 0.8060 0.6000 0.4493
Mn: 0.8313 0.0765 0.4337
P: 0.3063 0.8238 0.5933
P: 0.3522 0.3532 0.2988
P: 0.8006 0.8161 0.0864
P: 0.8436 0.3475 0.7914
O: 0.0097 0.6626 0.0032
O: 0.1437 0.4948 0.3839
O: 0.1618 0.9360 0.4467
O: 0.2051 0.7207 0.7042
O: 0.3012 0.2154 0.1858
O: 0.3478 0.9700 0.6970
O: 0.4399 0.4645 0.1873
O: 0.4939 0.2372 0.4411
O: 0.5009 0.6679 0.5028
O: 0.6466 0.4999 0.8827
O: 0.6668 0.9178 0.9342
O: 0.7136 0.7034 0.1967
O: 0.8108 0.1935 0.6929
O: 0.8375 0.9688 0.1848
O: 0.9409 0.4525 0.6797
O: 0.9905 0.2462 0.9432
F: 0.2712 0.8547 0.0610
F: 0.3630 0.3119 0.8162
F: 0.7823 0.8590 0.5698
F: 0.8802 0.3152 0.3140

Summary:
Energy in Ry per atom: -0.4849
M_tot in Bohr magnetons per cell: 20.00
DFT formation energy in meV per atom: -2684
Relative energy among the computed polymorphs in eV/f.u.: 0.39

=====

Compound: Li2MnPO4F
Source: the Materials Project database
Functional: PBE+U
Structure: optimized geometry

Unit cell a=10.7581 b=6.5584 c=11.2160 alpha=90.00 beta=90.00 gamma=90.00
Space group Pnma (No. 62)
Unique sites:
Li: 0.0265 0.2500 0.2289
Li: 0.2314 0.7500 0.4158
Li: 0.2402 0.0096 0.1682
Mn: 0.0000 0.0000 0.0000
Mn: 0.0000 0.0000 0.5000
P: 0.0205 0.2500 0.7544
P: 0.2455 0.2500 0.4194
O: 0.0288 0.7500 0.3767
O: 0.0348 0.5573 0.1841
O: 0.1107 0.7500 0.9375
O: 0.1653 0.2500 0.7557
O: 0.1950 0.0550 0.4827
O: 0.2149 0.2500 0.2845
F: 0.0550 0.7500 0.6218
F: 0.1355 0.2500 0.0333

Summary:
Energy in Ry per atom: -0.4881
M_tot in Bohr magnetons per cell: 40.00
DFT formation energy in meV per atom: -2727
Relative energy among the computed polymorphs in eV/f.u.: 0.00

=====

Compound: Li2MnPO4F
Source: the Materials Project database
Functional: PBE+U
Structure: optimized geometry

Unit cell a=5.4489 b=5.4651 c=7.5365 alpha=107.15 beta=106.66 gamma=94.98
Space group P1 (No. 1)
Unique sites:
Li: 0.0000 0.0000 0.0000
Li: 0.1324 0.9487 0.3612
Li: 0.5447 0.2018 0.6946
Li: 0.6827 0.6441 0.0156
Mn: 0.1293 0.4535 0.8375
Mn: 0.1501 0.4673 0.3600
P: 0.5066 0.1090 0.0769
P: 0.7628 0.7947 0.6082
O: 0.3402 0.1762 0.2154
O: 0.3900 0.8256 0.9343
O: 0.4723 0.7965 0.5053
O: 0.4825 0.3047 0.9593
O: 0.7879 0.6104 0.7359
O: 0.8006 0.1161 0.1815
O: 0.8789 0.0791 0.7599
O: 0.9120 0.7244 0.4610
F: 0.0408 0.6285 0.1182
F: 0.2224 0.2792 0.5718

Summary:
Energy in Ry per atom: -0.4853
M_tot in Bohr magnetons per cell: 10.00
DFT formation energy in meV per atom: -2689
Relative energy among the computed polymorphs in eV/f.u.: 0.35

=====

Compound: Li2MnPO4F
Source: the Materials Project database
Functional: PBE+U
Structure: optimized geometry

Unit cell a=13.1850 b=5.1409 c=13.1763 alpha=90.00 beta=119.54 gamma=90.00
Space group P2_1/c (No. 14)
Unique sites:
Li: 0.0790 0.2308 0.4014
Li: 0.1487 0.7333 0.3274
Li: 0.3507 0.2187 0.6780
Li: 0.4181 0.7258 0.3258
Mn: 0.0789 0.2258 0.6704
Mn: 0.4227 0.7294 0.5936
P: 0.1672 0.7149 0.5836
P: 0.3332 0.2179 0.4188
O: 0.1031 0.6757 0.1465
O: 0.1069 0.6868 0.9556
O: 0.1634 0.0905 0.0859
O: 0.2039 0.1967 0.8554
O: 0.2953 0.6872 0.1469
O: 0.3424 0.5876 0.9220
O: 0.3932 0.1768 0.0461
O: 0.3943 0.1672 0.8536
F: 0.0094 0.5108 0.7369
F: 0.4879 0.5137 0.7670

Summary:
Energy in Ry per atom: -0.4879
M_tot in Bohr magnetons per cell: 40.00
DFT formation energy in meV per atom: -2725
Relative energy among the computed polymorphs in eV/f.u.: 0.02